Nd2P7Rh12 | Materials Project | PBE | optimized geometry; formation enthalpy at 0 K = -19.00 eV per formula unit; calculated volume = 317 Å³ per cell; uncorrected energy = -7.3715 eV per atom; SG = P-3, No. 147
1.0
9.664 0.000 0.000
-4.832 8.369 0.000
0.000 0.000 3.921
Nd P Rh
2 7 12
direct
0.333 0.667 0.248
0.667 0.333 0.752
0.000 0.000 0.000
0.116 0.403 0.746
0.287 0.884 0.746
0.403 0.287 0.254
0.597 0.713 0.746
0.713 0.116 0.254
0.884 0.597 0.254
0.065 0.619 0.749
0.110 0.850 0.250
0.150 0.260 0.250
0.260 0.110 0.750
0.381 0.447 0.749
0.447 0.065 0.251
0.553 0.935 0.749
0.619 0.553 0.251
0.740 0.890 0.250
0.850 0.740 0.750
0.890 0.150 0.750
0.935 0.381 0.251